1.
The following is a r²SCAN calculation of crystalline Ba3BiP at its relaxed geometry, from the Materials Project database.

Formation energy from the elements: -0.26 eV/atom
Size of the total moment: 0.00 μB per formula unit
Total DFT energy (no corrections): -29.658 eV per atom

Structure (CIF):
```
data_Ba3BiP
_chemical_formula_sum 'Ba3 Bi1 P1'
_cell_length_a 6.541
_cell_length_b 6.541
_cell_length_c 6.541
_cell_angle_alpha 90.00
_cell_angle_beta 90.00
_cell_angle_gamma 90.00
_space_group_name_H-M_alt 'P m -3 m'
_space_group_IT_number 221
_space_group_name_Hall '-P 4 2 3'
loop_
_atom_site_label
_atom_site_fract_x
_atom_site_fract_y
_atom_site_fract_z
Ba1 0.000 0.000 0.500
Bi1 0.000 0.000 0.000
P1 0.500 0.500 0.500
```

2.
The following is a r²SCAN calculation of crystalline BaBiSe3 at its relaxed geometry, from the Materials Project database.

Formation energy from the elements: -1.18 eV/atom
Size of the total moment: 0.00 μB per formula unit
Total DFT energy (no corrections): -26.769 eV per atom

Structure (CIF):
```
data_BaBiSe3
_chemical_formula_sum 'Ba8 Bi8 Se24'
_cell_length_a 4.479
_cell_length_b 16.376
_cell_length_c 17.098
_cell_angle_alpha 90.00
_cell_angle_beta 90.00
_cell_angle_gamma 90.00
_space_group_name_H-M_alt 'P 21 21 21'
_space_group_IT_number 19
loop_
_space_group_symop_operation_xyz
'x,y,z'
'-x+1/2,-y,z+1/2'
'x+1/2,-y+1/2,-z'
'-x,y+1/2,-z+1/2'
loop_
_atom_site_label
_atom_site_fract_x
_atom_site_fract_y
_atom_site_fract_z
Ba1 0.215 0.108 0.410
Ba2 0.241 0.964 0.169
Bi1 0.238 0.283 0.797
Bi2 0.240 0.372 0.031
Se1 0.149 0.709 0.814
Se2 0.158 0.235 0.569
Se3 0.196 0.822 0.595
Se4 0.225 0.900 0.368
Se5 0.231 0.433 0.728
Se6 0.235 0.475 0.472
```

3.
The following is a r²SCAN calculation of crystalline Ba4Sn9Bi3 at its relaxed geometry, from the Materials Project database.

Formation energy from the elements: -0.48 eV/atom
Size of the total moment: 0.00 μB per formula unit
Total DFT energy (no corrections): -31.997 eV per atom

Structure (CIF):
```
data_Ba4Sn9Bi3
_chemical_formula_sum 'Ba8 Sn18 Bi6'
_cell_length_a 7.4261
_cell_length_b 7.4261
_cell_length_c 22.2925
_cell_angle_alpha 90.00
_cell_angle_beta 90.00
_cell_angle_gamma 120.00
_space_group_name_H-M_alt 'P 63/m m c'
_space_group_IT_number 194
_space_group_name_Hall '-P 6c 2c'
loop_
_atom_site_label
_atom_site_fract_x
_atom_site_fract_y
_atom_site_fract_z
Ba1 0.0000 0.0000 0.0000
Ba2 0.0000 0.0000 0.2500
Ba3 0.3333 0.6667 0.1357
Sn1 0.0629 0.5315 0.7500
Sn2 0.1973 0.3946 0.6246
Bi1 0.0000 0.5000 0.0000
```

4.
The following is a r²SCAN calculation of crystalline BaSrBi3 at its relaxed geometry, from the Materials Project database.

Formation energy from the elements: -0.84 eV/atom
Size of the total moment: 0.00 μB per formula unit
Total DFT energy (no corrections): -44.267 eV per atom

Structure (CIF):
```
data_BaSrBi3
_chemical_formula_sum 'Ba4 Sr4 Bi12'
_cell_length_a 15.741
_cell_length_b 7.012
_cell_length_c 6.848
_cell_angle_alpha 90.00
_cell_angle_beta 90.00
_cell_angle_gamma 90.00
_space_group_name_H-M_alt 'P n n a'
_space_group_IT_number 52
loop_
_space_group_symop_operation_xyz
'x,y,z'
'-x,-y,-z'
'-x+1/2,-y,z'
'x+1/2,y,-z'
'x,-y+1/2,-z+1/2'
'-x,y+1/2,z+1/2'
'-x+1/2,y+1/2,-z+1/2'
'x+1/2,-y+1/2,z+1/2'
loop_
_atom_site_label
_atom_site_fract_x
_atom_site_fract_y
_atom_site_fract_z
Ba1 0.250 0.000 0.049
Sr1 0.001 0.250 0.750
Bi1 0.064 0.250 0.250
Bi2 0.152 0.552 0.934
```

Q: Number 2 is which compound?
A: BaBiSe3